# Lu5Re2C7 (r2SCAN, optimized geometry)
data_Lu5Re2C7
_cell_length_a 7.900
_cell_length_b 14.155
_cell_length_c 3.330
_cell_angle_alpha 90.00
_cell_angle_beta 90.00
_cell_angle_gamma 90.00
_symmetry_space_group_name_H-M 'C m m m'
_symmetry_Int_Tables_number 65
_symmetry_space_group_name_Hall '-C 2 2'
loop_
_atom_site_label
_atom_site_type_symbol
_atom_site_fract_x
_atom_site_fract_y
_atom_site_fract_z
Lu1 Lu 0.000 0.000 0.000
Lu2 Lu 0.208 0.370 0.500
Re1 Re 0.000 0.216 0.000
C1 C 0.000 0.122 0.500
C2 C 0.000 0.500 0.000
C3 C 0.171 0.500 0.000
C4 C 0.250 0.250 0.000
# **Raw total energy**: -746.2 eV per cell
# **Formation enthalpy at 0 K**: -0.588 eV per atom
# **Magnetization**: 0.00 μB per atom

***

# LuRh3C (r2SCAN, optimized geometry)
data_LuRh3C
_cell_length_a 4.116
_cell_length_b 4.116
_cell_length_c 4.116
_cell_angle_alpha 90.00
_cell_angle_beta 90.00
_cell_angle_gamma 90.00
_symmetry_space_group_name_H-M 'P m -3 m'
_symmetry_Int_Tables_number 221
_symmetry_space_group_name_Hall '-P 4 2 3'
loop_
_atom_site_label
_atom_site_type_symbol
_atom_site_fract_x
_atom_site_fract_y
_atom_site_fract_z
Lu1 Lu 0.000 0.000 0.000
Rh1 Rh 0.000 0.500 0.500
C1 C 0.500 0.500 0.500
# **Raw total energy**: -123.5 eV per cell
# **Formation enthalpy at 0 K**: -0.619 eV per atom
# **Magnetization**: 0.00 μB per atom